# 1
NbO2F | GGA-PBE | optimized geometry

Output
**Raw total energy**: -64.60 eV/cell
**Calculated formation energy**: -3056 meV/atom

a = 5.5053 Å, b = 5.5053 Å, c = 5.5105 Å
α = 61.49°, β = 61.49°, γ = 57.76°
Last column: nearest neighbours and their distance in Å.
Atoms (fractional coordinates):
Nb: 0.0000 0.5000 0.0000  4 O 1.95-1.96, 2 F 2.09
Nb: 0.5000 0.0000 0.5000  4 O 1.95-1.96, 2 F 2.09
O: 0.7618 0.8214 0.7385  2 Nb 1.95-1.96
O: 0.1786 0.2382 0.7615  2 Nb 1.95-1.96
O: 0.8214 0.7618 0.2385  2 Nb 1.95-1.96
O: 0.2382 0.1786 0.2615  2 Nb 1.95-1.96
F: 0.3473 0.6527 0.7500  2 Nb 2.09
F: 0.6527 0.3473 0.2500  2 Nb 2.09


# 2
Te2Ir | GGA-PBE | optimized geometry

Output
**Raw total energy**: -79.66 eV/cell
**Calculated formation energy**: -269 meV/atom

a = 4.0301 Å, b = 6.8504 Å, c = 14.4609 Å
α = 99.33°, β = 91.75°, γ = 106.78°
Last column: nearest neighbours and their distance in Å.
Atoms (fractional coordinates):
Te: 0.7821 0.6901 0.0909  3 Ir 2.64-2.68
Te: 0.4722 0.8353 0.8896  3 Ir 2.66-2.71
Te: 0.0526 0.0515 0.6875  3 Ir 2.67
Te: 0.6280 0.2633 0.4866  3 Ir 2.68-2.70
Te: 0.2006 0.4702 0.2822  3 Ir 2.68-2.72
Te: 0.5278 0.1647 0.1104  3 Ir 2.66-2.71
Te: 0.2179 0.3099 0.9091  3 Ir 2.64-2.68
Te: 0.7994 0.5298 0.7178  3 Ir 2.68-2.72
Te: 0.3720 0.7367 0.5134  3 Ir 2.68-2.70
Te: 0.9474 0.9485 0.3125  3 Ir 2.67
Ir: 0.8529 0.5740 0.9084  6 Te 2.64-2.72
Ir: 0.4262 0.7924 0.7030  6 Te 2.66-2.70
Ir: 0.0000 0.0000 0.5000  6 Te 2.67-2.68
Ir: 0.1471 0.4260 0.0916  6 Te 2.64-2.72
Ir: 0.5738 0.2076 0.2970  6 Te 2.66-2.70


# 3
PdRh | GGA-PBE | optimized geometry

Output
**Raw total energy**: -12.36 eV/cell
**Calculated formation energy**: 93 meV/atom

a = 4.7690 Å, b = 4.7690 Å, c = 4.7690 Å
α = 33.62°, β = 33.62°, γ = 33.62°
Last column: nearest neighbours and their distance in Å.
Atoms (fractional coordinates):
Pd: 0.0000 0.0000 0.0000  6 Rh 2.75, 6 Pd 2.76
Rh: 0.5000 0.5000 0.5000  6 Pd 2.75, 6 Rh 2.76


# 4
Y2Ni7 | GGA-PBE | optimized geometry

Output
**Raw total energy**: -226.99 eV/cell
**Calculated formation energy**: -373 meV/atom

a = 4.9253 Å, b = 4.9253 Å, c = 24.1092 Å
α = 90.00°, β = 90.00°, γ = 120.00°
Last column: nearest neighbours and their distance in Å.
Atoms (fractional coordinates):
Y: 0.3333 0.6667 0.4700  12 Ni 2.81-3.15
Y: 0.6667 0.3333 0.5300  12 Ni 2.81-3.15
Y: 0.6667 0.3333 0.9700  12 Ni 2.81-3.15
Y: 0.3333 0.6667 0.0300  12 Ni 2.81-3.15
Y: 0.3333 0.6667 0.3257  12 Ni 2.85-3.07
Y: 0.6667 0.3333 0.6743  12 Ni 2.85-3.07
Y: 0.6667 0.3333 0.8257  12 Ni 2.85-3.07
Y: 0.3333 0.6667 0.1743  12 Ni 2.85-3.07
Ni: 0.0000 0.0000 0.5000  6 Ni 2.52
Ni: 0.0000 0.0000 0.0000  6 Ni 2.52
Ni: 0.8325 0.1675 0.2500  8 Ni 2.43-2.48
Ni: 0.8325 0.6649 0.2500  8 Ni 2.43-2.48
Ni: 0.3351 0.1675 0.2500  8 Ni 2.43-2.48
Ni: 0.1675 0.8325 0.7500  8 Ni 2.43-2.48
Ni: 0.1675 0.3351 0.7500  8 Ni 2.43-2.48
Ni: 0.6649 0.8325 0.7500  8 Ni 2.43-2.48
Ni: 0.8336 0.1664 0.4135  7 Ni 2.41-2.52
Ni: 0.8336 0.6672 0.4135  7 Ni 2.41-2.52
Ni: 0.3328 0.1664 0.4135  7 Ni 2.41-2.52
Ni: 0.1664 0.8336 0.5865  7 Ni 2.41-2.52
Ni: 0.1664 0.3328 0.5865  7 Ni 2.41-2.52
Ni: 0.6672 0.8336 0.5865  7 Ni 2.41-2.52
Ni: 0.1664 0.8336 0.9135  7 Ni 2.41-2.52
Ni: 0.1664 0.3328 0.9135  7 Ni 2.41-2.52
Ni: 0.6672 0.8336 0.9135  7 Ni 2.41-2.52
Ni: 0.8336 0.1664 0.0865  7 Ni 2.41-2.52
Ni: 0.8336 0.6672 0.0865  7 Ni 2.41-2.52
Ni: 0.3328 0.1664 0.0865  7 Ni 2.41-2.52
Ni: 0.0000 0.0000 0.3314  6 Ni 2.43-2.44
Ni: 0.0000 0.0000 0.6686  6 Ni 2.43-2.44
Ni: 0.0000 0.0000 0.8314  6 Ni 2.43-2.44
Ni: 0.0000 0.0000 0.1686  6 Ni 2.43-2.44
Ni: 0.3333 0.6667 0.6673  6 Ni 2.41-2.44
Ni: 0.6667 0.3333 0.3327  6 Ni 2.41-2.44
Ni: 0.6667 0.3333 0.1673  6 Ni 2.41-2.44
Ni: 0.3333 0.6667 0.8327  6 Ni 2.41-2.44